1.
{
  "formula": "MnAs2S4N4F24",
  "functional": "PBE with a Hubbard U",
  "state": "relaxed",
  "lattice_angstrom": [[7.660, 0.000, 0.000], [0.000, 10.606, 0.000], [-6.540, 0.000, 14.259]],
  "species": ["Mn", "Mn", "As", "As", "As", "As", "S", "S", "S", "S", "S", "S", "S", "S", "N", "N", "N", "N", "N", "N", "N", "N", "F", "F", "F", "F", "F", "F", "F", "F", "F", "F", "F", "F", "F", "F", "F", "F", "F", "F", "F", "F", "F", "F", "F", "F", "F", "F", "F", "F", "F", "F", "F", "F", "F", "F", "F", "F", "F", "F", "F", "F", "F", "F", "F", "F", "F", "F", "F", "F"],
  "fractional_positions": [[0.000, 0.000, 0.000], [0.000, 0.500, 0.500], [0.196, 0.243, 0.386], [0.196, 0.257, 0.886], [0.804, 0.743, 0.114], [0.804, 0.757, 0.614], [0.146, 0.699, 0.949], [0.146, 0.801, 0.449], [0.461, 0.064, 0.184], [0.461, 0.436, 0.684], [0.539, 0.564, 0.316], [0.539, 0.936, 0.816], [0.854, 0.199, 0.551], [0.854, 0.301, 0.051], [0.099, 0.674, 0.459], [0.099, 0.826, 0.959], [0.278, 0.020, 0.122], [0.278, 0.480, 0.622], [0.722, 0.520, 0.378], [0.722, 0.980, 0.878], [0.901, 0.174, 0.041], [0.901, 0.326, 0.541], [0.012, 0.096, 0.596], [0.012, 0.404, 0.096], [0.039, 0.683, 0.149], [0.039, 0.817, 0.649], [0.111, 0.106, 0.913], [0.111, 0.394, 0.413], [0.137, 0.200, 0.772], [0.137, 0.300, 0.272], [0.254, 0.194, 0.503], [0.254, 0.306, 0.003], [0.262, 0.668, 0.890], [0.262, 0.832, 0.390], [0.272, 0.617, 0.036], [0.272, 0.883, 0.536], [0.279, 0.099, 0.360], [0.279, 0.401, 0.860], [0.368, 0.576, 0.345], [0.368, 0.924, 0.845], [0.423, 0.008, 0.722], [0.423, 0.492, 0.222], [0.427, 0.188, 0.924], [0.427, 0.312, 0.424], [0.489, 0.198, 0.230], [0.489, 0.302, 0.730], [0.511, 0.698, 0.270], [0.511, 0.802, 0.770], [0.573, 0.688, 0.576], [0.573, 0.812, 0.076], [0.577, 0.508, 0.778], [0.577, 0.992, 0.278], [0.632, 0.076, 0.155], [0.632, 0.424, 0.655], [0.721, 0.599, 0.140], [0.721, 0.901, 0.640], [0.728, 0.117, 0.464], [0.728, 0.383, 0.964], [0.738, 0.168, 0.610], [0.738, 0.332, 0.110], [0.746, 0.694, 0.997], [0.746, 0.806, 0.497], [0.863, 0.700, 0.728], [0.863, 0.800, 0.228], [0.889, 0.606, 0.587], [0.889, 0.894, 0.087], [0.961, 0.183, 0.351], [0.961, 0.317, 0.851], [0.988, 0.596, 0.904], [0.988, 0.904, 0.404]],
  "e_form_mev_per_atom": -1739,
  "final_energy_ev_per_cell": -324.90,
  "energy_corrected_mp2020_ev_per_atom": -5.006,
  "spacegroup": "P2_1/c (14)"
}

***

2.
{
  "formula": "Li4Cr3FeO8",
  "functional": "PBE with a Hubbard U",
  "state": "relaxed",
  "lattice_angstrom": [[5.114, 0.000, 0.000], [-1.671, 5.639, 0.000], [-0.860, -3.306, 9.992]],
  "species": ["Li", "Li", "Li", "Li", "Li", "Li", "Li", "Li", "Cr", "Cr", "Cr", "Cr", "Cr", "Cr", "Fe", "Fe", "O", "O", "O", "O", "O", "O", "O", "O", "O", "O", "O", "O", "O", "O", "O", "O"],
  "fractional_positions": [[0.000, 0.000, 0.000], [0.000, 0.125, 0.752], [0.000, 0.250, 0.501], [0.000, 0.499, 0.001], [0.000, 0.627, 0.753], [0.001, 0.750, 0.501], [0.999, 0.374, 0.250], [0.999, 0.874, 0.250], [0.500, 0.311, 0.377], [0.500, 0.436, 0.126], [0.500, 0.562, 0.875], [0.500, 0.686, 0.626], [0.500, 0.815, 0.377], [0.500, 0.938, 0.125], [0.500, 0.066, 0.870], [0.500, 0.186, 0.629], [0.267, 0.908, 0.682], [0.270, 0.293, 0.941], [0.271, 0.780, 0.943], [0.277, 0.164, 0.191], [0.277, 0.539, 0.440], [0.279, 0.042, 0.443], [0.279, 0.665, 0.191], [0.281, 0.411, 0.689], [0.720, 0.456, 0.562], [0.720, 0.964, 0.563], [0.722, 0.710, 0.061], [0.723, 0.586, 0.312], [0.724, 0.085, 0.312], [0.730, 0.215, 0.067], [0.730, 0.832, 0.809], [0.734, 0.346, 0.807]],
  "e_form_mev_per_atom": -2269,
  "polymorph_energy_kj_per_mol_fu": 37.5,
  "final_energy_ev_per_cell": -214.40,
  "energy_corrected_mp2020_ev_per_atom": -7.559,
  "spacegroup": "P1 (1)"
}

***

3.
{
  "formula": "Ni3P3O13",
  "functional": "PBE with a Hubbard U",
  "state": "relaxed",
  "lattice_angstrom": [[7.489, 0.000, 0.000], [0.000, 6.339, 0.000], [-1.753, 0.000, 10.432]],
  "species": ["Ni", "Ni", "Ni", "Ni", "Ni", "Ni", "P", "P", "P", "P", "P", "P", "O", "O", "O", "O", "O", "O", "O", "O", "O", "O", "O", "O", "O", "O", "O", "O", "O", "O", "O", "O", "O", "O", "O", "O", "O", "O"],
  "fractional_positions": [[0.000, 0.000, 0.000], [0.000, 0.500, 0.000], [0.229, 0.250, 0.556], [0.364, 0.750, 0.198], [0.636, 0.250, 0.802], [0.771, 0.750, 0.444], [0.211, 0.750, 0.476], [0.254, 0.250, 0.234], [0.305, 0.250, 0.878], [0.695, 0.750, 0.122], [0.746, 0.750, 0.766], [0.789, 0.250, 0.524], [0.020, 0.750, 0.401], [0.084, 0.250, 0.126], [0.132, 0.750, 0.096], [0.186, 0.250, 0.363], [0.204, 0.048, 0.906], [0.204, 0.452, 0.906], [0.260, 0.556, 0.562], [0.260, 0.944, 0.562], [0.350, 0.250, 0.741], [0.356, 0.750, 0.385], [0.376, 0.061, 0.216], [0.376, 0.439, 0.216], [0.499, 0.250, 0.961], [0.501, 0.750, 0.039], [0.624, 0.561, 0.784], [0.624, 0.939, 0.784], [0.644, 0.250, 0.615], [0.650, 0.750, 0.259], [0.740, 0.056, 0.438], [0.740, 0.444, 0.438], [0.796, 0.548, 0.094], [0.796, 0.952, 0.094], [0.814, 0.750, 0.637], [0.868, 0.250, 0.904], [0.916, 0.750, 0.874], [0.980, 0.250, 0.599]],
  "e_form_mev_per_atom": -1740,
  "final_energy_ev_per_cell": -228.82,
  "energy_corrected_mp2020_ev_per_atom": -6.893,
  "spacegroup": "P2_1/m (11)"
}

***

4.
{
  "formula": "Li3Nb2VO6",
  "functional": "PBE with a Hubbard U",
  "state": "relaxed",
  "lattice_angstrom": [[2.953, -3.336, 3.798], [-2.318, 8.944, 9.658], [-4.963, -3.645, 0.658]],
  "species": ["O", "O", "O", "O", "O", "O", "O", "O", "O", "O", "O", "O", "O", "O", "O", "O", "O", "O", "O", "O", "O", "O", "O", "O", "Li", "Li", "Li", "Li", "Li", "Li", "Li", "Li", "Li", "Li", "Li", "Li", "V", "V", "V", "V", "Nb", "Nb", "Nb", "Nb", "Nb", "Nb", "Nb", "Nb"],
  "fractional_positions": [[0.000, 0.507, 0.264], [0.250, 0.322, 0.390], [0.250, 0.326, 0.903], [0.000, 0.822, 0.890], [0.750, 0.678, 0.108], [0.000, 0.826, 0.403], [0.500, 0.822, 0.890], [0.750, 0.007, 0.764], [0.500, 0.156, 0.059], [0.250, 0.655, 0.559], [0.000, 0.156, 0.059], [0.750, 0.011, 0.277], [0.750, 0.322, 0.390], [0.250, 0.011, 0.277], [0.500, 0.511, 0.777], [0.000, 0.178, 0.608], [0.250, 0.007, 0.764], [0.500, 0.826, 0.403], [0.500, 0.507, 0.264], [0.250, 0.678, 0.108], [0.750, 0.656, 0.559], [0.750, 0.326, 0.903], [0.500, 0.178, 0.608], [0.000, 0.511, 0.777], [0.750, 0.826, 0.652], [0.750, 0.167, 0.333], [0.250, 0.507, 0.014], [0.500, 0.326, 0.152], [0.500, 0.007, 0.514], [0.000, 0.326, 0.152], [0.000, 0.007, 0.514], [0.250, 0.167, 0.333], [0.000, 0.667, 0.833], [0.500, 0.667, 0.833], [0.750, 0.507, 0.014], [0.250, 0.826, 0.652], [0.750, 0.167, 0.833], [0.000, 0.667, 0.333], [0.250, 0.167, 0.833], [0.500, 0.667, 0.333], [0.500, 0.344, 0.655], [0.250, 0.490, 0.512], [0.750, 0.844, 0.155], [0.000, 0.990, 0.012], [0.000, 0.344, 0.655], [0.500, 0.990, 0.012], [0.750, 0.490, 0.512], [0.250, 0.844, 0.155]],
  "e_form_mev_per_atom": -2535,
  "final_energy_ev_per_cell": -357.20,
  "energy_corrected_mp2020_ev_per_atom": -7.927
}

***

Question: What is the formula in the fourth record?
Answer: Li3Nb2VO6